An optimized crystal structure of SbH4NCl6. Source: the Materials Project, functional PBE.

a b c (Å): 12.337 6.454 12.325
angles (deg): 90.00 101.76 90.00
Space group C2/c (No. 15)
One atom of each set of equivalent atoms:
Sb 0.250 0.250 0.000 [4 per cell]
H 0.002 0.017 0.319 [8 per cell]
H 0.070 0.202 0.262 [8 per cell]
N 0.000 0.109 0.250 [4 per cell]
Cl 0.080 0.387 0.890 [8 per cell]
Cl 0.150 0.056 0.534 [8 per cell]
Cl 0.212 0.413 0.165 [8 per cell]

Calculated values
Calculated volume ... 20.0 A^3/atom
DFT formation energy ... -0.966 eV/atom
Crystal system ... monoclinic

An optimized crystal structure of ScH3NCl3. Source: the Materials Project, functional PBE.

a b c (Å): 7.157 9.338 9.444
angles (deg): 72.38 77.28 80.13
Space group P-1 (No. 2)
One atom of each set of equivalent atoms:
Sc 0.083 0.194 0.439 [2 per cell]
Sc 0.400 0.308 0.052 [2 per cell]
H 0.194 0.779 0.000 [2 per cell]
H 0.261 0.406 0.506 [2 per cell]
H 0.271 0.254 0.650 [2 per cell]
H 0.273 0.761 0.156 [2 per cell]
H 0.299 0.916 0.014 [2 per cell]
H 0.428 0.264 0.492 [2 per cell]
N 0.286 0.290 0.534 [2 per cell]
N 0.306 0.800 0.040 [2 per cell]
Cl 0.094 0.410 0.203 [2 per cell]
Cl 0.104 0.958 0.654 [2 per cell]
Cl 0.196 0.681 0.436 [2 per cell]
Cl 0.240 0.192 0.925 [2 per cell]
Cl 0.396 0.091 0.287 [2 per cell]
Cl 0.415 0.547 0.840 [2 per cell]

Calculated values
Calculated volume ... 18.2 A^3/atom
DFT formation energy ... -1.528 eV/atom
Crystal system ... triclinic

An optimized crystal structure of SnH8N2Cl6. Source: the Materials Project, functional PBE.

a b c (Å): 10.330 10.330 10.330
angles (deg): 90.00 90.00 90.00
Space group Fm-3m (No. 225)
One atom of each set of equivalent atoms:
Sn 0.000 0.000 0.000 [4 per cell]
H 0.192 0.192 0.192 [32 per cell]
N 0.250 0.250 0.250 [8 per cell]
Cl 0.000 0.000 0.239 [24 per cell]

Calculated values
Calculated volume ... 16.2 A^3/atom
Relative energy among the computed polymorphs ... 7 meV/atom
DFT formation energy ... -0.937 eV/atom
Crystal system ... cubic

An optimized crystal structure of SnH8N2Cl6. Source: the Materials Project, functional PBE.

a b c (Å): 10.198 10.198 10.198
angles (deg): 90.00 90.00 90.00
Space group Fm-3m (No. 225)
One atom of each set of equivalent atoms:
Sn 0.000 0.000 0.000 [4 per cell]
H 0.192 0.192 0.308 [32 per cell]
N 0.250 0.250 0.250 [8 per cell]
Cl 0.000 0.000 0.242 [24 per cell]

Calculated values
Calculated volume ... 15.6 A^3/atom
Relative energy among the computed polymorphs ... 0 meV/atom
DFT formation energy ... -0.943 eV/atom
Crystal system ... cubic

An optimized crystal structure of Ta2H15N6Cl7. Source: the Materials Project, functional PBE.

a b c (Å): 10.187 20.821 7.940
angles (deg): 90.00 90.00 90.00
Space group Cmcm (No. 63)
One atom of each set of equivalent atoms:
Ta 0.000 0.000 0.000 [4 per cell]
Ta 0.000 0.161 0.250 [4 per cell]
H 0.000 0.078 0.750 [4 per cell]
H 0.000 0.127 0.531 [8 per cell]
H 0.000 0.466 0.647 [8 per cell]
H 0.084 0.408 0.750 [8 per cell]
H 0.169 0.119 0.750 [8 per cell]
H 0.171 0.361 0.250 [8 per cell]
H 0.214 0.186 0.645 [16 per cell]
N 0.000 0.029 0.750 [4 per cell]
N 0.000 0.096 0.071 [8 per cell]
N 0.000 0.436 0.750 [4 per cell]
N 0.231 0.158 0.750 [8 per cell]
Cl 0.000 0.245 0.023 [8 per cell]
Cl 0.000 0.407 0.250 [4 per cell]
Cl 0.238 0.000 0.000 [8 per cell]
Cl 0.239 0.174 0.250 [8 per cell]

Calculated values
Calculated volume ... 14.0 A^3/atom
DFT formation energy ... -0.802 eV/atom
Crystal system ... orthorhombic

An optimized crystal structure of TlH4NCl4. Source: the Materials Project, functional PBE.

a b c (Å): 7.203 7.203 15.951
angles (deg): 90.00 90.00 90.00
Space group I4_1/a (No. 88, origin choice 2)
One atom of each set of equivalent atoms:
Tl 0.000 0.250 0.125 [4 per cell]
H 0.030 0.363 0.663 [16 per cell]
N 0.000 0.250 0.625 [4 per cell]
Cl 0.155 0.491 0.211 [16 per cell]

Calculated values
Calculated volume ... 20.7 A^3/atom
DFT formation energy ... -0.893 eV/atom
Crystal system ... tetragonal

An optimized crystal structure of VH11N3Cl5. Source: the Materials Project, functional PBE.

a b c (Å): 13.789 10.701 6.968
angles (deg): 90.00 90.00 90.00
Space group Pnma (No. 62)
One atom of each set of equivalent atoms:
V 0.112 0.250 0.188 [4 per cell]
H 0.005 0.673 0.095 [8 per cell]
H 0.073 0.750 0.943 [4 per cell]
H 0.094 0.526 0.744 [8 per cell]
H 0.129 0.519 0.512 [8 per cell]
H 0.169 0.090 0.671 [8 per cell]
H 0.210 0.558 0.686 [8 per cell]
N 0.006 0.750 0.008 [4 per cell]
N 0.150 0.503 0.654 [8 per cell]
Cl 0.002 0.250 0.449 [4 per cell]
Cl 0.105 0.024 0.181 [8 per cell]
Cl 0.214 0.250 0.911 [4 per cell]
Cl 0.249 0.750 0.895 [4 per cell]

Calculated values
Calculated volume ... 12.9 A^3/atom
DFT formation energy ... -0.835 eV/atom
Crystal system ... orthorhombic

An optimized crystal structure of H4WNCl6. Source: the Materials Project, functional PBE.

a b c (Å): 12.057 6.246 12.199
angles (deg): 90.00 100.98 90.00
Space group C2/c (No. 15)
One atom of each set of equivalent atoms:
H 0.009 0.004 0.320 [8 per cell]
H 0.071 0.186 0.754 [8 per cell]
W 0.250 0.250 0.500 [4 per cell]
N 0.000 0.092 0.750 [4 per cell]
Cl 0.083 0.395 0.397 [8 per cell]
Cl 0.150 0.058 0.034 [8 per cell]
Cl 0.212 0.409 0.664 [8 per cell]

Calculated values
Calculated volume ... 18.8 A^3/atom
DFT formation energy ... -1.034 eV/atom
Crystal system ... monoclinic